[1]
# PBE LiCa2FeN2, relaxed
data_LiCa2FeN2
_chemical_formula_sum 'Li2 Ca4 Fe2 N4'
_cell_length_a 5.346
_cell_length_b 5.346
_cell_length_c 6.701
_cell_angle_alpha 90.00
_cell_angle_beta 90.00
_cell_angle_gamma 90.00
_space_group_name_H-M_alt 'P 42/m n m'
_space_group_IT_number 136
_space_group_name_Hall '-P 4n 2n'
loop_
_atom_site_label
_atom_site_type_symbol
_atom_site_fract_x
_atom_site_fract_y
_atom_site_fract_z
Li1 Li 0.000 0.000 0.000
Ca1 Ca 0.000 0.500 0.250
Fe1 Fe 0.000 0.000 0.500
N1 N 0.241 0.241 0.500
# * DFT total energy: -69.37 eV/cell
# * magnetic moment: 6.00 Bohr magnetons per cell
# * formation energy from the elements: -724 meV per atom

[2]
# PBE Ca4Mg4Fe3, relaxed
data_Ca4Mg4Fe3
_chemical_formula_sum 'Ca4 Mg4 Fe3'
_cell_length_a 6.673
_cell_length_b 6.673
_cell_length_c 6.673
_cell_angle_alpha 90.00
_cell_angle_beta 90.00
_cell_angle_gamma 90.00
_space_group_name_H-M_alt 'P -4 3 m'
_space_group_IT_number 215
_space_group_name_Hall 'P -4 2 3'
loop_
_atom_site_label
_atom_site_type_symbol
_atom_site_fract_x
_atom_site_fract_y
_atom_site_fract_z
Ca1 Ca 0.205 0.205 0.205
Mg1 Mg 0.315 0.315 0.685
Fe1 Fe 0.000 0.500 0.500
# * DFT total energy: -35.67 eV/cell
# * magnetic moment: 5.93 Bohr magnetons per cell
# * formation energy from the elements: 379 meV per atom

[3]
# PBE Ca3Fe3N5, relaxed
data_Ca3Fe3N5
_chemical_formula_sum 'Ca6 Fe6 N10'
_cell_length_a 5.473
_cell_length_b 6.768
_cell_length_c 8.294
_cell_angle_alpha 108.71
_cell_angle_beta 103.90
_cell_angle_gamma 95.18
_space_group_name_H-M_alt 'P -1'
_space_group_IT_number 2
loop_
_space_group_symop_operation_xyz
'x,y,z'
'-x,-y,-z'
loop_
_atom_site_label
_atom_site_type_symbol
_atom_site_fract_x
_atom_site_fract_y
_atom_site_fract_z
Ca1 Ca 0.159 0.170 0.202
Ca2 Ca 0.162 0.366 0.875
Ca3 Ca 0.320 0.917 0.616
Fe1 Fe 0.182 0.449 0.566
Fe2 Fe 0.399 0.615 0.296
Fe3 Fe 0.408 0.822 0.974
N1 N 0.133 0.561 0.384
N2 N 0.248 0.036 0.910
N3 N 0.306 0.726 0.125
N4 N 0.321 0.203 0.512
N5 N 0.430 0.616 0.777
# * DFT total energy: -158.42 eV/cell
# * formation energy from the elements: -719 meV per atom

[4]
# PBE Ca6FeN5, relaxed
data_Ca6FeN5
_chemical_formula_sum 'Ca12 Fe2 N10'
_cell_length_a 6.2476
_cell_length_b 6.2476
_cell_length_c 12.2653
_cell_angle_alpha 90.00
_cell_angle_beta 90.00
_cell_angle_gamma 120.00
_space_group_name_H-M_alt 'P 63/m c m'
_space_group_IT_number 193
_space_group_name_Hall '-P 6c 2'
loop_
_atom_site_label
_atom_site_type_symbol
_atom_site_fract_x
_atom_site_fract_y
_atom_site_fract_z
Ca1 Ca 0.0000 0.3969 0.1201
Fe1 Fe 0.0000 0.0000 0.2500
N1 N 0.0000 0.2876 0.7500
N2 N 0.3333 0.6667 0.0000
# * DFT total energy: -143.15 eV/cell
# * formation energy from the elements: -933 meV per atom

[5]
# PBE Ca5FeN4, relaxed
data_Ca5FeN4
_chemical_formula_sum 'Ca10 Fe2 N8'
_cell_length_a 7.349
_cell_length_b 7.900
_cell_length_c 5.856
_cell_angle_alpha 90.00
_cell_angle_beta 90.00
_cell_angle_gamma 90.00
_space_group_name_H-M_alt 'P m m n'
_space_group_IT_number 59
loop_
_space_group_symop_operation_xyz
'x,y,z'
'-x,-y,-z'
'-x+1/2,-y+1/2,z'
'x+1/2,y+1/2,-z'
'x+1/2,-y,-z'
'-x+1/2,y,z'
'-x,y+1/2,-z'
'x,-y+1/2,z'
loop_
_atom_site_label
_atom_site_type_symbol
_atom_site_fract_x
_atom_site_fract_y
_atom_site_fract_z
Ca1 Ca 0.008 0.055 0.242
Ca2 Ca 0.250 0.250 0.685
Fe1 Fe 0.250 0.750 0.316
N1 N 0.027 0.750 0.107
N2 N 0.250 0.529 0.496
# * DFT total energy: -113.37 eV/cell
# * magnetic moment: 8.02 Bohr magnetons per cell
# * formation energy from the elements: -628 meV per atom

[6]
# PBE CaFe2N2, relaxed
data_CaFe2N2
_chemical_formula_sum 'Ca1 Fe2 N2'
_cell_length_a 3.515
_cell_length_b 3.515
_cell_length_c 6.017
_cell_angle_alpha 90.00
_cell_angle_beta 90.00
_cell_angle_gamma 90.00
_space_group_name_H-M_alt 'P -4 m 2'
_space_group_IT_number 115
loop_
_space_group_symop_operation_xyz
'x,y,z'
'y,-x,-z'
'-x,-y,z'
'-y,x,-z'
'-x,y,z'
'-y,-x,-z'
'x,-y,z'
'y,x,-z'
loop_
_atom_site_label
_atom_site_type_symbol
_atom_site_fract_x
_atom_site_fract_y
_atom_site_fract_z
Ca1 Ca 0.000 0.000 0.000
Fe1 Fe 0.500 0.500 0.312
N1 N 0.000 0.500 0.714
# * DFT total energy: -35.33 eV/cell
# * magnetic moment: 3.16 Bohr magnetons per cell
# * formation energy from the elements: -87 meV per atom

[7]
# PBE Ca11Fe2N10, relaxed
data_Ca11Fe2N10
_chemical_formula_sum 'Ca22 Fe4 N20'
_cell_length_a 6.374
_cell_length_b 10.623
_cell_length_c 12.253
_cell_angle_alpha 90.00
_cell_angle_beta 90.34
_cell_angle_gamma 90.00
_space_group_name_H-M_alt 'C 1 m 1'
_space_group_IT_number 8
loop_
_space_group_symop_operation_xyz
'x,y,z'
'x,-y,z'
'x+1/2,y+1/2,z'
'x+1/2,-y+1/2,z'
loop_
_atom_site_label
_atom_site_type_symbol
_atom_site_fract_x
_atom_site_fract_y
_atom_site_fract_z
Ca1 Ca 0.000 0.000 0.000
Ca2 Ca 0.009 0.000 0.709
Ca3 Ca 0.104 0.303 0.004
Ca4 Ca 0.118 0.307 0.739
Ca5 Ca 0.188 0.213 0.500
Ca6 Ca 0.212 0.196 0.237
Ca7 Ca 0.313 0.500 0.257
Fe1 Fe 0.398 0.000 0.873
Fe2 Fe 0.415 0.000 0.369
N1 N 0.038 0.355 0.356
N2 N 0.150 0.000 0.351
N3 N 0.171 0.500 0.872
N4 N 0.264 0.141 0.879
N5 N 0.406 0.334 0.119
N6 N 0.414 0.313 0.627
# * DFT total energy: -278.02 eV/cell
# * magnetic moment: 7.99 Bohr magnetons per cell
# * formation energy from the elements: -881 meV per atom

[8]
# PBE Ca5Fe2N4, relaxed
data_Ca5Fe2N4
_chemical_formula_sum 'Ca20 Fe8 N16'
_cell_length_a 8.009
_cell_length_b 8.009
_cell_length_c 12.459
_cell_angle_alpha 90.00
_cell_angle_beta 90.00
_cell_angle_gamma 90.00
_space_group_name_H-M_alt 'P 4/n c c'
_space_group_IT_number 130
loop_
_space_group_symop_operation_xyz
'x,y,z'
'-x,-y,-z'
'-y+1/2,x,z'
'y+1/2,-x,-z'
'-x+1/2,-y+1/2,z'
'x+1/2,y+1/2,-z'
'y,-x+1/2,z'
'-y,x+1/2,-z'
'x+1/2,-y,-z+1/2'
'-x+1/2,y,z+1/2'
'-y,-x,-z+1/2'
'y,x,z+1/2'
'-x,y+1/2,-z+1/2'
'x,-y+1/2,z+1/2'
'y+1/2,x+1/2,-z+1/2'
'-y+1/2,-x+1/2,z+1/2'
loop_
_atom_site_label
_atom_site_type_symbol
_atom_site_fract_x
_atom_site_fract_y
_atom_site_fract_z
Ca1 Ca 0.075 0.631 0.091
Ca2 Ca 0.250 0.250 0.150
Fe1 Fe 0.105 0.605 0.750
N1 N 0.052 0.638 0.893
# * DFT total energy: -269.46 eV/cell
# * magnetic moment: 24.00 Bohr magnetons per cell
# * formation energy from the elements: -772 meV per atom

[9]
# PBE Ca9Fe2N8, relaxed
data_Ca9Fe2N8
_chemical_formula_sum 'Ca18 Fe4 N16'
_cell_length_a 18.468
_cell_length_b 4.926
_cell_length_c 7.821
_cell_angle_alpha 90.00
_cell_angle_beta 111.35
_cell_angle_gamma 90.00
_space_group_name_H-M_alt 'C 1 2/m 1'
_space_group_IT_number 12
loop_
_space_group_symop_operation_xyz
'x,y,z'
'-x,-y,-z'
'-x,y,-z'
'x,-y,z'
'x+1/2,y+1/2,z'
'-x+1/2,-y+1/2,-z'
'-x+1/2,y+1/2,-z'
'x+1/2,-y+1/2,z'
loop_
_atom_site_label
_atom_site_type_symbol
_atom_site_fract_x
_atom_site_fract_y
_atom_site_fract_z
Ca1 Ca 0.000 0.000 0.000
Ca2 Ca 0.038 0.500 0.734
Ca3 Ca 0.088 0.000 0.484
Ca4 Ca 0.173 0.000 0.949
Ca5 Ca 0.194 0.500 0.319
Fe1 Fe 0.194 0.500 0.699
N1 N 0.036 0.000 0.747
N2 N 0.109 0.500 0.501
N3 N 0.182 0.500 0.909
N4 N 0.213 0.000 0.311
# * DFT total energy: -231.27 eV/cell
# * magnetic moment: 9.23 Bohr magnetons per cell
# * formation energy from the elements: -886 meV per atom

[10]
# PBE CaFe2P2, relaxed
data_CaFe2P2
_chemical_formula_sum 'Ca2 Fe4 P4'
_cell_length_a 3.830
_cell_length_b 3.830
_cell_length_c 9.939
_cell_angle_alpha 90.00
_cell_angle_beta 90.00
_cell_angle_gamma 90.00
_space_group_name_H-M_alt 'I 4/m m m'
_space_group_IT_number 139
_space_group_name_Hall '-I 4 2'
loop_
_atom_site_label
_atom_site_type_symbol
_atom_site_fract_x
_atom_site_fract_y
_atom_site_fract_z
Ca1 Ca 0.000 0.000 0.000
Fe1 Fe 0.000 0.500 0.250
P1 P 0.000 0.000 0.359
# * DFT total energy: -67.98 eV/cell
# * formation energy from the elements: -844 meV per atom

[11]
# PBE CaFe2S5, relaxed
data_CaFe2S5
_chemical_formula_sum 'Ca2 Fe4 S10'
_cell_length_a 4.175
_cell_length_b 13.591
_cell_length_c 5.842
_cell_angle_alpha 90.00
_cell_angle_beta 90.00
_cell_angle_gamma 90.00
_space_group_name_H-M_alt 'P m m n'
_space_group_IT_number 59
loop_
_space_group_symop_operation_xyz
'x,y,z'
'-x,-y,-z'
'-x+1/2,-y+1/2,z'
'x+1/2,y+1/2,-z'
'x+1/2,-y,-z'
'-x+1/2,y,z'
'-x,y+1/2,-z'
'x,-y+1/2,z'
loop_
_atom_site_label
_atom_site_type_symbol
_atom_site_fract_x
_atom_site_fract_y
_atom_site_fract_z
Ca1 Ca 0.250 0.250 0.108
Fe1 Fe 0.250 0.600 0.412
S1 S 0.250 0.066 0.462
S2 S 0.250 0.623 0.057
S3 S 0.250 0.750 0.539
# * DFT total energy: -87.88 eV/cell
# * magnetic moment: 6.54 Bohr magnetons per cell
# * formation energy from the elements: -853 meV per atom

[12]
# PBE CaFe2Si2, relaxed
data_CaFe2Si2
_chemical_formula_sum 'Ca2 Fe4 Si4'
_cell_length_a 3.944
_cell_length_b 3.944
_cell_length_c 9.887
_cell_angle_alpha 90.00
_cell_angle_beta 90.00
_cell_angle_gamma 90.00
_space_group_name_H-M_alt 'I 4/m m m'
_space_group_IT_number 139
_space_group_name_Hall '-I 4 2'
loop_
_atom_site_label
_atom_site_type_symbol
_atom_site_fract_x
_atom_site_fract_y
_atom_site_fract_z
Ca1 Ca 0.000 0.000 0.000
Fe1 Fe 0.000 0.500 0.250
Si1 Si 0.000 0.000 0.367
# * DFT total energy: -64.07 eV/cell
# * magnetic moment: 2.59 Bohr magnetons per cell
# * formation energy from the elements: -420 meV per atom

> What is the formula in the ninth record?

Ca9Fe2N8

> Which value of DFT total energy does entry 2 give?

-35.67 eV/cell